(1)
Density functional theory data (GGA-PBE) for a relaxed Na6Ta2Ga6Si5S7O48 crystal.

extended XYZ file:
```
222
Lattice="17.439 -0.103 -0.097 -4.404 7.616 0.004 -0.124 -0.060 22.418" Properties=species:S:1:pos:R:3 pbc="T T T"
Na 14.142 4.968 20.330
Na 5.811 0.176 20.471
Na 1.473 2.238 20.429
Na 7.107 2.233 9.358
Na 11.449 0.130 9.260
Na 11.805 4.914 9.297
Na -0.075 0.014 11.088
Na 4.206 7.463 11.105
Na 17.214 -0.125 22.211
Na 4.217 7.466 22.207
Na 4.271 2.538 18.656
Na 12.936 2.327 18.396
Na 4.237 2.515 7.318
Na 13.094 2.393 7.513
Na 0.021 5.112 3.668
Na 8.632 5.011 3.714
Na -0.085 4.993 14.944
Na 8.592 4.927 14.720
Ta 12.969 7.384 14.488
Ta 8.565 0.015 14.300
Ta 13.019 7.465 3.133
Ta 8.619 -0.007 3.322
Ta -0.121 5.080 6.965
Ta 8.574 4.871 18.071
Ga -4.321 7.519 8.079
Ga 8.591 0.024 7.730
Ga -4.425 7.452 18.921
Ga 8.593 0.037 19.161
Ga 4.286 2.617 15.089
Ga 12.987 2.396 15.510
Ga 4.326 2.511 4.387
Ga 13.034 2.292 3.977
Ga 4.270 2.593 21.737
Ga 12.971 2.222 21.971
Ga 4.285 2.612 10.962
Ga 13.136 2.358 10.516
Ga 0.008 5.231 0.126
Ga 8.659 5.055 0.376
Ga -0.076 4.987 11.653
Ga 8.699 4.806 11.441
Ga 8.744 4.852 7.102
Ga -0.136 5.212 18.266
Si 2.420 0.027 5.662
Si 3.079 5.350 5.670
Si 7.425 2.296 5.648
Si 9.910 1.977 16.817
Si -3.081 5.282 16.892
Si 14.852 -0.081 16.830
Si 6.787 2.611 12.948
Si 2.867 4.631 13.037
Si 14.237 0.177 1.756
Si 2.373 5.038 20.424
Si 7.389 2.801 20.623
Si -1.502 7.248 20.567
Si 9.897 7.081 9.217
Si 9.918 2.677 9.273
Si -2.546 5.056 9.468
S 11.275 -0.033 5.532
S 11.790 5.218 5.476
S 16.076 2.046 5.520
S 1.243 2.180 16.802
S 5.417 5.305 16.794
S 6.062 -0.028 16.749
S 15.487 2.390 13.005
S 3.022 0.287 13.062
S 11.800 0.253 13.019
S 11.738 4.581 13.000
S 5.558 4.667 1.843
S 14.335 4.593 1.768
S 5.563 0.294 1.828
S 1.804 2.579 1.848
S 10.543 2.470 1.798
S 11.114 4.892 20.545
S -1.461 2.807 20.597
S 7.320 7.188 20.500
S 1.140 7.248 9.363
S 1.246 2.832 9.346
S 6.046 4.971 9.282
O 1.449 0.243 6.907
O 10.485 0.147 6.760
O 3.738 6.072 6.932
O 12.366 5.782 6.690
O 7.631 1.384 6.961
O 16.280 1.270 6.711
O 0.991 1.401 18.048
O 9.634 1.088 18.110
O 4.890 5.892 18.013
O 13.685 5.798 18.137
O 6.837 0.167 17.989
O 15.799 0.133 18.112
O 2.562 7.410 15.559
O 11.411 7.246 15.491
O 0.631 1.445 15.614
O 9.212 1.337 15.490
O -3.442 6.332 15.599
O 5.191 6.105 15.584
O 3.327 6.331 4.318
O 12.097 6.120 4.267
O -0.772 1.501 4.389
O 8.142 1.470 4.318
O -2.889 7.374 4.309
O 5.949 7.444 4.328
O 5.917 2.720 14.304
O 14.660 2.561 14.199
O 3.574 0.908 14.283
O 12.336 0.915 14.206
O 3.062 3.735 14.368
O 12.043 3.800 14.189
O 5.290 3.862 3.036
O 14.005 3.814 2.974
O 5.035 0.933 3.023
O 13.625 0.833 3.100
O 2.635 2.734 3.034
O 11.365 2.655 3.019
O 2.543 2.296 0.610
O 11.363 2.280 0.578
O 4.947 4.105 0.614
O 13.728 4.059 0.528
O 5.382 1.049 0.584
O 14.145 1.150 0.470
O 3.238 1.084 11.833
O 11.927 1.047 11.778
O 3.609 4.087 11.711
O 12.298 4.050 11.752
O 5.965 2.212 11.592
O 14.700 2.141 11.775
O 1.512 5.408 21.790
O 10.310 5.095 21.754
O -0.826 3.412 21.823
O 8.033 3.515 21.907
O -1.455 6.209 21.845
O 7.604 6.432 21.733
O 0.905 6.456 10.556
O 9.708 6.111 10.535
O 0.691 3.463 10.547
O 9.049 3.240 10.519
O -1.583 5.272 10.722
O 6.875 5.215 10.489
O -1.589 4.826 8.114
O 6.873 4.725 8.076
O 0.611 6.543 8.124
O 9.099 6.478 7.910
O 0.987 3.669 8.120
O 9.823 3.660 7.987
O -1.261 3.630 19.400
O 7.667 3.760 19.295
O -0.693 6.632 19.315
O 7.932 6.563 19.304
O 1.372 4.644 19.194
O 10.276 4.724 19.324
O -3.506 6.355 9.303
O 5.207 6.180 9.158
O 2.606 7.408 9.223
O 11.522 7.237 8.996
O 0.564 1.528 9.220
O 9.308 1.142 9.092
O -0.864 1.467 20.500
O 8.015 1.316 20.451
O -3.135 7.493 20.367
O 5.858 7.278 20.398
O 3.302 6.358 20.224
O 11.994 6.077 20.407
O 7.743 1.217 13.139
O 16.395 1.174 13.152
O 1.509 0.189 13.195
O 10.278 0.070 13.193
O 3.588 6.115 13.286
O 12.387 5.988 13.141
O 4.958 6.061 1.989
O 13.691 5.984 1.900
O 7.100 0.138 1.968
O 15.894 0.006 1.987
O 0.897 1.322 2.043
O 9.724 1.208 1.927
O 5.190 1.150 16.570
O 13.896 1.155 16.573
O 2.710 2.235 16.643
O 11.456 2.253 16.590
O 4.893 3.920 16.665
O 13.612 3.804 16.518
O 3.689 3.911 5.412
O 12.429 3.894 5.235
O 5.861 2.329 5.353
O 14.624 2.304 5.321
O 3.409 1.246 5.415
O 12.064 1.233 5.383
O 3.243 3.681 20.637
O 11.995 3.675 20.642
O 5.775 2.594 20.657
O 14.472 2.642 20.647
O 3.594 1.079 20.808
O 12.315 0.957 20.571
O 4.890 0.959 9.364
O 13.601 0.925 9.408
O 2.719 2.653 9.429
O 11.524 2.542 9.505
O 5.210 3.729 9.403
O 13.908 3.664 9.413
O 0.876 3.728 1.724
O 9.663 3.632 1.727
O -1.647 4.857 1.790
O 7.021 4.832 1.717
O 0.595 6.526 1.747
O 9.240 6.291 1.604
O -0.829 6.551 12.985
O 7.974 6.527 12.901
O 1.272 4.898 12.877
O 10.282 4.809 12.932
O -1.081 3.678 12.974
O 7.755 3.906 12.833
O -1.064 6.248 5.805
O 7.697 6.394 5.532
O 1.440 5.229 5.797
O 10.332 5.159 5.499
O -0.667 3.489 5.683
O 8.121 3.758 5.707
O 0.586 3.476 16.824
O 9.153 3.480 16.967
O -1.466 5.173 16.962
O 6.949 5.200 16.901
O 0.888 6.327 16.808
O 9.534 6.170 17.010
```

crystal system = triclinic
energy with MP2020 corrections = -7.0112 eV per atom
total moment = 0.0 μB/f.u.
DFT formation energy = -2.371 eV per atom
total DFT energy (no corrections) = -6.566 eV/atom


(2)
Density functional theory data (GGA-PBE) for a relaxed SrPrEuSbO6 crystal.

extended XYZ file:
```
40
Lattice="-1.238 4.811 6.933 -7.969 1.624 -2.550 -2.760 -6.853 4.262" Properties=species:S:1:pos:R:3 pbc="T T T"
Sr -5.365 -2.614 0.856
Sr -1.999 -1.021 5.597
Sr -0.619 2.405 3.466
Sr -3.984 0.812 -1.275
Pr -8.975 -0.314 6.484
Pr -4.372 -3.531 4.292
Pr -6.976 0.707 0.886
Pr -3.611 2.301 5.628
Eu -4.603 3.217 2.191
Eu -1.380 -3.426 2.131
Eu 0.000 0.000 0.000
Eu -5.984 -0.209 4.322
Sb -2.992 -0.105 2.161
Sb -7.595 3.113 4.353
Sb -4.991 -1.126 7.759
Sb -8.356 -2.719 3.017
O -2.439 -1.541 0.850
O -8.355 4.035 5.984
O -4.799 0.159 9.308
O -8.341 -3.490 1.148
O -1.081 0.008 2.809
O -10.358 -2.479 2.878
O -9.257 3.619 3.320
O -3.239 -1.984 8.283
O -2.591 1.311 0.776
O -5.970 -2.424 8.959
O -8.645 -4.570 3.776
O -6.728 4.846 3.779
O -3.544 1.332 3.473
O -6.835 2.190 2.721
O -5.183 -2.411 6.209
O -8.372 -1.948 4.887
O -4.902 -0.217 1.513
O -6.355 -2.959 3.157
O -5.934 2.607 5.385
O -6.743 -0.267 7.235
O -3.393 -1.520 3.547
O -4.012 0.172 6.558
O -8.067 -0.868 2.259
O -8.463 1.380 4.926
```

crystal system = orthorhombic
energy with MP2020 corrections = -8.0074 eV per atom
total moment = 7.0 μB/f.u.
offset from the most stable computed form = 4.3 kJ per mole of atoms
DFT formation energy = -2.953 eV per atom
total DFT energy (no corrections) = -7.595 eV/atom


(3)
Density functional theory data (GGA-PBE) for a relaxed H12W3C4NCl9 crystal.

extended XYZ file:
```
58
Lattice="5.560 -9.630 0.000 5.560 9.630 0.000 0.000 0.000 8.777" Properties=species:S:1:pos:R:3 pbc="T T T"
H 6.776 -4.950 5.961
H 7.675 -3.393 5.961
H 5.560 -4.247 7.959
H 6.768 3.907 4.279
H 6.459 -1.286 5.961
H 5.560 1.815 4.279
H 6.457 -2.692 7.959
H 5.560 -1.815 4.498
H 6.776 4.950 2.817
H 7.675 3.393 2.817
H 4.662 -2.692 7.959
H 3.444 3.393 2.817
H 4.661 -1.286 5.961
H 4.352 3.907 4.279
H 5.560 4.247 0.818
H 4.343 4.950 2.817
H 6.457 2.692 0.818
H 4.352 -3.907 4.498
H 4.661 1.286 2.817
H 6.768 -3.907 4.498
H 4.343 -4.950 5.961
H 6.459 1.286 2.817
H 4.662 2.692 0.818
H 3.444 -3.393 5.961
W 5.560 -7.923 1.151
W 9.641 -0.853 1.151
W 1.478 -0.853 1.151
W 1.478 0.853 7.627
W 5.560 7.923 7.627
W 9.641 0.853 7.627
C 6.787 3.918 3.184
C 5.560 1.793 3.184
C 5.560 3.210 1.172
C 6.787 -3.918 5.594
C 4.333 3.918 3.184
C 4.333 -3.918 5.594
C 5.560 -3.210 7.606
C 5.560 -1.793 5.594
N 5.560 -3.210 6.100
N 5.560 3.210 2.677
Cl 7.914 1.850 6.193
Cl 3.841 -6.653 0.000
Cl 3.205 1.850 6.193
Cl 3.841 6.653 0.000
Cl 9.438 0.971 2.705
Cl 7.914 -1.850 2.585
Cl 5.560 -5.929 2.585
Cl 3.205 -1.850 2.585
Cl 5.560 5.929 6.193
Cl 9.438 -0.971 6.072
Cl 5.560 7.688 2.705
Cl 1.719 2.977 0.000
Cl 7.682 0.000 0.000
Cl 1.681 -0.971 6.072
Cl 1.681 0.971 2.705
Cl 1.719 -2.977 0.000
Cl 3.437 0.000 0.000
Cl 5.560 -7.688 6.072
```

crystal system = trigonal
energy with MP2020 corrections = -5.5092 eV per atom
total moment = 2.0 μB/f.u.
DFT formation energy = -0.631 eV per atom
total DFT energy (no corrections) = -5.319 eV/atom


(4)
Density functional theory data (GGA-PBE) for a relaxed Ce4Pu crystal.

extended XYZ file:
```
5
Lattice="13.277 -1.605 0.000 13.277 1.605 0.000 13.083 0.000 2.772" Properties=species:S:1:pos:R:3 pbc="T T T"
Ce 23.899 0.000 1.672
Ce 7.960 0.000 0.557
Ce 31.678 0.000 2.216
Ce 15.739 0.000 1.101
Pu 0.000 0.000 0.000
```

crystal system = trigonal
total moment = 4.2 μB/f.u.
DFT formation energy = 0.116 eV per atom
total DFT energy (no corrections) = -7.484 eV/atom


(5)
Density functional theory data (GGA-PBE) for a relaxed KPrZrNbO6 crystal.

extended XYZ file:
```
10
Lattice="1.625 3.057 -4.694 -1.625 -1.745 -5.323 -3.954 3.069 -2.994" Properties=species:S:1:pos:R:3 pbc="T T T"
K -2.966 3.285 -9.759
Pr -0.989 1.095 -3.253
Zr -1.977 2.190 -6.506
Nb 0.000 0.000 0.000
O -0.143 2.631 -5.584
O -3.811 1.749 -7.428
O -2.156 4.194 -7.108
O -1.798 0.187 -5.904
O -0.971 1.743 -8.293
O -2.984 2.638 -4.718
```

crystal system = cubic
energy with MP2020 corrections = -8.5921 eV per atom
total moment = 0.0 μB/f.u.
DFT formation energy = -3.169 eV per atom
total DFT energy (no corrections) = -8.180 eV/atom


(6)
Density functional theory data (GGA-PBE) for a relaxed Na2MnCl4 crystal.

extended XYZ file:
```
14
Lattice="-2.508 1.789 2.357 0.778 -5.091 4.692 9.093 6.065 5.071" Properties=species:S:1:pos:R:3 pbc="T T T"
Na 5.006 4.602 5.024
Na 2.358 -1.839 7.096
Na 0.719 -0.128 4.053
Na 6.645 2.891 8.067
Mn 4.936 0.487 4.882
Mn 0.000 0.000 0.000
Cl 4.267 0.439 7.398
Cl 3.097 2.324 4.722
Cl 1.869 0.559 1.564
Cl 8.003 0.415 8.200
Cl 3.258 -1.319 4.467
Cl 6.614 2.293 5.296
Cl 7.625 5.483 7.142
Cl -0.261 -2.720 4.978
```

crystal system = orthorhombic
energy with MP2020 corrections = -4.5849 eV per atom
DFT formation energy = -1.842 eV per atom
total DFT energy (no corrections) = -4.234 eV/atom


(7)
Density functional theory data (GGA-PBE) for a relaxed Cs2LiInF6 crystal.

extended XYZ file:
```
10
Lattice="-6.140 -0.708 1.030 -4.148 3.044 -3.576 -3.520 -3.168 -4.102" Properties=species:S:1:pos:R:3 pbc="T T T"
Cs -10.356 -0.624 -4.986
Cs -3.452 -0.208 -1.662
Li -6.904 -0.416 -3.324
In 0.000 0.000 0.000
F -6.508 -0.567 -1.069
F -5.152 -1.841 -3.727
F -7.300 -0.265 -5.579
F -5.477 1.376 -3.455
F -8.331 -2.208 -3.194
F -8.656 1.009 -2.921
```

crystal system = cubic
energy with MP2020 corrections = -4.7778 eV per atom
total moment = 0.0 μB/f.u.
DFT formation energy = -2.984 eV per atom
total DFT energy (no corrections) = -4.501 eV/atom


(8)
Density functional theory data (GGA-PBE) for a relaxed Zr4TaGe4 crystal.

extended XYZ file:
```
36
Lattice="-5.774 3.856 1.849 -1.083 -4.324 5.636 7.584 7.792 7.434" Properties=species:S:1:pos:R:3 pbc="T T T"
Zr -2.677 4.335 10.509
Zr 0.036 -0.471 1.109
Zr -2.744 5.404 3.623
Zr 3.896 2.357 11.712
Zr 3.040 7.944 11.250
Zr 1.050 2.835 6.966
Zr 2.220 6.062 8.226
Zr -1.922 0.822 6.273
Zr 1.795 5.039 13.366
Zr 0.866 4.272 3.449
Zr -1.386 7.248 8.461
Zr 0.255 -1.833 4.636
Zr 0.167 6.144 10.887
Zr 0.556 1.176 4.029
Zr -0.265 5.744 5.912
Zr 4.780 5.472 12.720
Ta 0.908 3.146 10.319
Ta -2.105 2.201 2.715
Ta -2.581 4.013 7.136
Ta 5.176 5.231 9.615
Ge -0.332 4.745 8.542
Ge -1.753 -0.309 3.621
Ge -1.071 3.234 5.047
Ge 2.779 5.098 10.834
Ge 0.648 7.526 13.224
Ge 2.855 2.650 4.416
Ge 0.522 8.247 6.764
Ge -0.811 -1.967 7.160
Ge -1.355 2.336 8.814
Ge 4.712 7.690 8.683
Ge -3.664 2.867 4.778
Ge 3.228 3.263 9.001
Ge -4.369 -0.431 6.748
Ge 2.500 5.088 5.626
Ge 0.968 8.486 9.461
Ge 0.955 0.067 6.630
```

crystal system = tetragonal
DFT formation energy = -0.767 eV per atom
total DFT energy (no corrections) = -7.939 eV/atom